[1]
# Sb3Pd8 (PBE, relaxed)
data_Sb3Pd8
_symmetry_space_group_name_H-M 'P 1'
_symmetry_Int_Tables_number 1
_cell_length_a 15.227
_cell_length_b 15.227
_cell_length_c 15.227
_cell_angle_alpha 29.38
_cell_angle_beta 29.38
_cell_angle_gamma 29.38
loop_
_symmetry_equiv_pos_as_xyz
'x,y,z'
loop_
_atom_site_label
_atom_site_type_symbol
_atom_site_fract_x
_atom_site_fract_y
_atom_site_fract_z
_atom_site_occupancy
Sb1 Sb 0.668 0.993 0.361 1
Sb2 Sb 0.079 0.079 0.079 1
Sb3 Sb 0.167 0.857 0.494 1
Sb4 Sb 0.427 0.427 0.427 1
Sb5 Sb 0.361 0.668 0.993 1
Sb6 Sb 0.993 0.361 0.668 1
Sb7 Sb 0.494 0.167 0.857 1
Sb8 Sb 0.857 0.494 0.167 1
Sb9 Sb 0.766 0.766 0.766 1
Sb10 Sb 0.265 0.265 0.265 1
Sb11 Sb 0.925 0.925 0.925 1
Sb12 Sb 0.579 0.579 0.579 1
Pd1 Pd 0.303 0.058 0.565 1
Pd2 Pd 0.121 0.785 0.413 1
Pd3 Pd 0.488 0.488 0.488 1
Pd4 Pd 0.274 0.537 0.803 1
Pd5 Pd 0.364 0.364 0.364 1
Pd6 Pd 0.208 0.938 0.569 1
Pd7 Pd 0.538 0.803 0.082 1
Pd8 Pd 0.803 0.274 0.537 1
Pd9 Pd 0.986 0.986 0.986 1
Pd10 Pd 0.565 0.303 0.058 1
Pd11 Pd 0.204 0.204 0.204 1
Pd12 Pd 0.433 0.710 0.073 1
Pd13 Pd 0.037 0.777 0.298 1
Pd14 Pd 0.938 0.569 0.208 1
Pd15 Pd 0.285 0.626 0.908 1
Pd16 Pd 0.073 0.433 0.710 1
Pd17 Pd 0.908 0.285 0.626 1
Pd18 Pd 0.785 0.413 0.121 1
Pd19 Pd 0.706 0.706 0.706 1
Pd20 Pd 0.058 0.565 0.303 1
Pd21 Pd 0.569 0.208 0.938 1
Pd22 Pd 0.642 0.642 0.642 1
Pd23 Pd 0.710 0.073 0.433 1
Pd24 Pd 0.861 0.861 0.861 1
Pd25 Pd 0.082 0.538 0.803 1
Pd26 Pd 0.141 0.141 0.141 1
Pd27 Pd 0.537 0.803 0.274 1
Pd28 Pd 0.298 0.037 0.777 1
Pd29 Pd 0.777 0.298 0.037 1
Pd30 Pd 0.803 0.082 0.538 1
Pd31 Pd 0.413 0.121 0.785 1
Pd32 Pd 0.626 0.908 0.285 1
# total magnetization: 0.001 μB per atom
# energy relative to the elements: -5.0 eV per formula unit
# SG: R3



[2]
# SbPd3 (PBE, relaxed)
data_SbPd3
_symmetry_space_group_name_H-M 'P 1'
_symmetry_Int_Tables_number 1
_cell_length_a 4.560
_cell_length_b 4.560
_cell_length_c 4.560
_cell_angle_alpha 60.00
_cell_angle_beta 60.00
_cell_angle_gamma 60.00
loop_
_symmetry_equiv_pos_as_xyz
'x,y,z'
loop_
_atom_site_label
_atom_site_type_symbol
_atom_site_fract_x
_atom_site_fract_y
_atom_site_fract_z
_atom_site_occupancy
Pd1 Pd 0.750 0.750 0.750 1
Pd2 Pd 0.500 0.500 0.500 1
Pd3 Pd 0.250 0.250 0.250 1
Sb1 Sb 0.000 0.000 0.000 1
# energy relative to the elements: -1.5 eV per formula unit
# SG: Fm-3m



[3]
# Sb7Pd20 (PBE, relaxed)
data_Sb7Pd20
_symmetry_space_group_name_H-M 'P 1'
_symmetry_Int_Tables_number 1
_cell_length_a 7.834
_cell_length_b 7.834
_cell_length_c 7.834
_cell_angle_alpha 99.15
_cell_angle_beta 99.15
_cell_angle_gamma 99.15
loop_
_symmetry_equiv_pos_as_xyz
'x,y,z'
loop_
_atom_site_label
_atom_site_type_symbol
_atom_site_fract_x
_atom_site_fract_y
_atom_site_fract_z
_atom_site_occupancy
Pd1 Pd 0.336 0.523 0.793 1
Pd2 Pd 0.793 0.336 0.523 1
Pd3 Pd 0.523 0.793 0.336 1
Pd4 Pd 0.661 0.775 0.999 1
Pd5 Pd 0.623 0.623 0.623 1
Pd6 Pd 0.664 0.477 0.207 1
Pd7 Pd 0.012 0.311 0.856 1
Pd8 Pd 0.339 0.225 0.001 1
Pd9 Pd 0.988 0.689 0.144 1
Pd10 Pd 0.999 0.661 0.775 1
Pd11 Pd 0.144 0.988 0.689 1
Pd12 Pd 0.377 0.377 0.377 1
Pd13 Pd 0.207 0.664 0.477 1
Pd14 Pd 0.856 0.012 0.311 1
Pd15 Pd 0.775 0.999 0.661 1
Pd16 Pd 0.311 0.856 0.012 1
Pd17 Pd 0.225 0.001 0.339 1
Pd18 Pd 0.477 0.207 0.664 1
Pd19 Pd 0.689 0.144 0.988 1
Pd20 Pd 0.001 0.339 0.225 1
Sb1 Sb 0.123 0.275 0.545 1
Sb2 Sb 0.725 0.455 0.877 1
Sb3 Sb 0.455 0.877 0.725 1
Sb4 Sb 0.000 0.000 0.000 1
Sb5 Sb 0.877 0.725 0.455 1
Sb6 Sb 0.545 0.123 0.275 1
Sb7 Sb 0.275 0.545 0.123 1
# energy relative to the elements: -12.0 eV per formula unit
# SG: R-3



[4]
# SbPdSe (PBE, relaxed)
data_SbPdSe
_symmetry_space_group_name_H-M 'P 1'
_symmetry_Int_Tables_number 1
_cell_length_a 6.425
_cell_length_b 6.425
_cell_length_c 6.425
_cell_angle_alpha 90.00
_cell_angle_beta 90.00
_cell_angle_gamma 90.00
loop_
_symmetry_equiv_pos_as_xyz
'x,y,z'
loop_
_atom_site_label
_atom_site_type_symbol
_atom_site_fract_x
_atom_site_fract_y
_atom_site_fract_z
_atom_site_occupancy
Sb1 Sb 0.374 0.874 0.626 1
Sb2 Sb 0.126 0.126 0.126 1
Sb3 Sb 0.626 0.374 0.874 1
Sb4 Sb 0.874 0.626 0.374 1
Se1 Se 0.868 0.132 0.632 1
Se2 Se 0.632 0.868 0.132 1
Se3 Se 0.368 0.368 0.368 1
Se4 Se 0.132 0.632 0.868 1
Pd1 Pd 0.253 0.747 0.247 1
Pd2 Pd 0.247 0.253 0.747 1
Pd3 Pd 0.753 0.753 0.753 1
Pd4 Pd 0.747 0.247 0.253 1
# energy relative to the elements: -1.7 eV per formula unit
# SG: P2_13



[5]
# SbPd6Se (PBE, relaxed)
data_SbPd6Se
_symmetry_space_group_name_H-M 'P 1'
_symmetry_Int_Tables_number 1
_cell_length_a 7.861
_cell_length_b 7.861
_cell_length_c 7.861
_cell_angle_alpha 33.56
_cell_angle_beta 33.56
_cell_angle_gamma 33.56
loop_
_symmetry_equiv_pos_as_xyz
'x,y,z'
loop_
_atom_site_label
_atom_site_type_symbol
_atom_site_fract_x
_atom_site_fract_y
_atom_site_fract_z
_atom_site_occupancy
Sb1 Sb 0.000 0.000 0.000 1
Pd1 Pd 0.874 0.874 0.874 1
Pd2 Pd 0.251 0.251 0.251 1
Pd3 Pd 0.624 0.624 0.624 1
Pd4 Pd 0.376 0.376 0.376 1
Pd5 Pd 0.126 0.126 0.126 1
Pd6 Pd 0.749 0.749 0.749 1
Se1 Se 0.500 0.500 0.500 1
# total magnetization: 0.001 μB per atom
# energy relative to the elements: -2.2 eV per formula unit
# SG: R-3m



[6]
# SmSbPd (PBE, relaxed)
data_SmSbPd
_symmetry_space_group_name_H-M 'P 1'
_symmetry_Int_Tables_number 1
_cell_length_a 4.597
_cell_length_b 4.597
_cell_length_c 7.849
_cell_angle_alpha 90.00
_cell_angle_beta 90.00
_cell_angle_gamma 120.00
loop_
_symmetry_equiv_pos_as_xyz
'x,y,z'
loop_
_atom_site_label
_atom_site_type_symbol
_atom_site_fract_x
_atom_site_fract_y
_atom_site_fract_z
_atom_site_occupancy
Sm1 Sm 0.000 0.000 0.500 1
Sm2 Sm 0.000 0.000 0.000 1
Pd1 Pd 0.333 0.667 0.250 1
Pd2 Pd 0.667 0.333 0.750 1
Sb1 Sb 0.333 0.667 0.750 1
Sb2 Sb 0.667 0.333 0.250 1
# total magnetization: 0.000 μB per atom
# energy relative to the elements: -3.2 eV per formula unit
# SG: P6_3/mmc



[7]
# SmSbPd (PBE, relaxed)
data_SmSbPd
_symmetry_space_group_name_H-M 'P 1'
_symmetry_Int_Tables_number 1
_cell_length_a 4.651
_cell_length_b 4.651
_cell_length_c 7.584
_cell_angle_alpha 90.00
_cell_angle_beta 90.00
_cell_angle_gamma 120.00
loop_
_symmetry_equiv_pos_as_xyz
'x,y,z'
loop_
_atom_site_label
_atom_site_type_symbol
_atom_site_fract_x
_atom_site_fract_y
_atom_site_fract_z
_atom_site_occupancy
Sb1 Sb 0.667 0.333 0.712 1
Sb2 Sb 0.333 0.667 0.212 1
Sm1 Sm 0.000 0.000 0.486 1
Sm2 Sm 0.000 0.000 0.986 1
Pd1 Pd 0.333 0.667 0.811 1
Pd2 Pd 0.667 0.333 0.311 1
# energy relative to the elements: -3.3 eV per formula unit
# SG: P6_3mc



[8]
# SmSbPd (PBE, relaxed)
data_SmSbPd
_symmetry_space_group_name_H-M 'P 1'
_symmetry_Int_Tables_number 1
_cell_length_a 4.954
_cell_length_b 4.954
_cell_length_c 6.949
_cell_angle_alpha 90.00
_cell_angle_beta 90.00
_cell_angle_gamma 120.00
loop_
_symmetry_equiv_pos_as_xyz
'x,y,z'
loop_
_atom_site_label
_atom_site_type_symbol
_atom_site_fract_x
_atom_site_fract_y
_atom_site_fract_z
_atom_site_occupancy
Sb1 Sb 0.333 0.667 0.043 1
Sb2 Sb 0.667 0.333 0.957 1
Sm1 Sm 0.000 0.000 0.731 1
Sm2 Sm 0.000 0.000 0.269 1
Pd1 Pd 0.333 0.667 0.452 1
Pd2 Pd 0.667 0.333 0.548 1
# total magnetization: 0.000 μB per atom
# energy relative to the elements: -1.5 eV per formula unit
# SG: P-3m1



[9]
# TbSbPd (PBE, relaxed)
data_TbSbPd
_symmetry_space_group_name_H-M 'P 1'
_symmetry_Int_Tables_number 1
_cell_length_a 4.581
_cell_length_b 4.581
_cell_length_c 7.646
_cell_angle_alpha 90.00
_cell_angle_beta 90.00
_cell_angle_gamma 120.00
loop_
_symmetry_equiv_pos_as_xyz
'x,y,z'
loop_
_atom_site_label
_atom_site_type_symbol
_atom_site_fract_x
_atom_site_fract_y
_atom_site_fract_z
_atom_site_occupancy
Tb1 Tb 0.000 0.000 0.500 1
Tb2 Tb 0.000 0.000 0.000 1
Pd1 Pd 0.667 0.333 0.250 1
Pd2 Pd 0.333 0.667 0.750 1
Sb1 Sb 0.333 0.667 0.250 1
Sb2 Sb 0.667 0.333 0.750 1
# total magnetization: 0.000 μB per atom
# energy relative to the elements: -3.1 eV per formula unit
# SG: P6_3/mmc



[10]
# TbSbPd (PBE, relaxed)
data_TbSbPd
_symmetry_space_group_name_H-M 'P 1'
_symmetry_Int_Tables_number 1
_cell_length_a 6.108
_cell_length_b 4.511
_cell_length_c 5.683
_cell_angle_alpha 90.00
_cell_angle_beta 103.60
_cell_angle_gamma 68.33
loop_
_symmetry_equiv_pos_as_xyz
'x,y,z'
loop_
_atom_site_label
_atom_site_type_symbol
_atom_site_fract_x
_atom_site_fract_y
_atom_site_fract_z
_atom_site_occupancy
Pd1 Pd 0.581 0.709 0.689 1
Pd2 Pd 0.419 0.291 0.311 1
Sb1 Sb 0.169 0.915 0.293 1
Sb2 Sb 0.831 0.085 0.707 1
Tb1 Tb 0.748 0.626 0.203 1
Tb2 Tb 0.252 0.374 0.797 1
# total magnetization: 0.000 μB per atom
# energy relative to the elements: -2.5 eV per formula unit
# SG: C2/m



[11]
# TbSbPd (PBE, relaxed)
data_TbSbPd
_symmetry_space_group_name_H-M 'P 1'
_symmetry_Int_Tables_number 1
_cell_length_a 4.914
_cell_length_b 4.914
_cell_length_c 7.998
_cell_angle_alpha 89.31
_cell_angle_beta 89.31
_cell_angle_gamma 59.51
loop_
_symmetry_equiv_pos_as_xyz
'x,y,z'
loop_
_atom_site_label
_atom_site_type_symbol
_atom_site_fract_x
_atom_site_fract_y
_atom_site_fract_z
_atom_site_occupancy
Pd1 Pd 0.329 0.329 0.720 1
Pd2 Pd 0.671 0.671 0.280 1
Tb1 Tb 0.662 0.662 0.640 1
Tb2 Tb 0.338 0.338 0.360 1
Sb1 Sb 0.992 0.992 0.808 1
Sb2 Sb 0.008 0.008 0.192 1
# total magnetization: 0.000 μB per atom
# energy relative to the elements: -2.0 eV per formula unit
# SG: C2/m



[12]
# TbSbPd (PBE, relaxed)
data_TbSbPd
_symmetry_space_group_name_H-M 'P 1'
_symmetry_Int_Tables_number 1
_cell_length_a 4.602
_cell_length_b 4.602
_cell_length_c 7.448
_cell_angle_alpha 90.00
_cell_angle_beta 90.00
_cell_angle_gamma 120.00
loop_
_symmetry_equiv_pos_as_xyz
'x,y,z'
loop_
_atom_site_label
_atom_site_type_symbol
_atom_site_fract_x
_atom_site_fract_y
_atom_site_fract_z
_atom_site_occupancy
Sb1 Sb 0.667 0.333 0.710 1
Sb2 Sb 0.333 0.667 0.210 1
Pd1 Pd 0.667 0.333 0.314 1
Pd2 Pd 0.333 0.667 0.814 1
Tb1 Tb 0.000 0.000 0.985 1
Tb2 Tb 0.000 0.000 0.485 1
# energy relative to the elements: -3.2 eV per formula unit
# SG: P6_3mc



Copy entry 8 word for word.
# SmSbPd (PBE, relaxed)
data_SmSbPd
_symmetry_space_group_name_H-M 'P 1'
_symmetry_Int_Tables_number 1
_cell_length_a 4.954
_cell_length_b 4.954
_cell_length_c 6.949
_cell_angle_alpha 90.00
_cell_angle_beta 90.00
_cell_angle_gamma 120.00
loop_
_symmetry_equiv_pos_as_xyz
'x,y,z'
loop_
_atom_site_label
_atom_site_type_symbol
_atom_site_fract_x
_atom_site_fract_y
_atom_site_fract_z
_atom_site_occupancy
Sb1 Sb 0.333 0.667 0.043 1
Sb2 Sb 0.667 0.333 0.957 1
Sm1 Sm 0.000 0.000 0.731 1
Sm2 Sm 0.000 0.000 0.269 1
Pd1 Pd 0.333 0.667 0.452 1
Pd2 Pd 0.667 0.333 0.548 1
# total magnetization: 0.000 μB per atom
# energy relative to the elements: -1.5 eV per formula unit
# SG: P-3m1



> Look up the energy relative to the elements of the sixth one.

-3.2 eV per formula unit